This record from Materials Project describes a relaxed structure of Fe4OF7. The functional is GGA+U.

Lattice parameters (Å, degrees): 5.8054 5.8105 10.1456 99.61 100.96 111.95
Last column: nearest neighbours and their distance in Å.
Positions (direct):
Fe (0.0000, 0.0000, 0.0000)  6 F 2.03-2.15
Fe (0.0921, 0.6086, 0.2384)  1 O 1.84, 4 F 2.02-2.05
Fe (0.2680, 0.2439, 0.5078)  1 O 1.97, 5 F 2.12-2.17
Fe (0.3776, 0.8938, 0.7401)  1 O 1.84, 4 F 2.02-2.05
Fe (0.5128, 0.5026, 0.0009)  1 O 2.01, 5 F 2.14-2.19
Fe (0.6300, 0.1403, 0.2444)  5 F 2.03-2.24, 1 O 2.07
Fe (0.7400, 0.7553, 0.4918)  6 F 2.05-2.15
Fe (0.8643, 0.3723, 0.7424)  5 F 2.04-2.24, 1 O 2.07
O (0.4712, 0.1554, 0.6539)  2 Fe 1.84-1.97
O (0.7445, 0.4372, 0.1497)  2 Fe 1.84-2.01
F (0.0462, 0.8432, 0.3921)  3 Fe 2.02-2.17
F (0.0537, 0.3431, 0.3509)  3 Fe 2.04-2.24
F (0.2001, 0.4044, 0.0995)  3 Fe 2.03-2.17
F (0.2143, 0.9109, 0.1509)  3 Fe 2.04-2.19
F (0.2878, 0.5980, 0.8436)  3 Fe 2.11-2.24
F (0.2941, 0.0929, 0.8946)  3 Fe 2.03-2.19
F (0.4539, 0.6544, 0.6042)  3 Fe 2.02-2.17
F (0.4958, 0.8137, 0.3404)  3 Fe 2.05-2.23
F (0.5594, 0.3544, 0.3997)  3 Fe 2.04-2.15
F (0.7012, 0.9068, 0.1004)  3 Fe 2.03-2.14
F (0.7599, 0.0596, 0.8498)  3 Fe 2.03-2.22
F (0.8092, 0.6059, 0.8946)  3 Fe 2.04-2.15
F (0.9456, 0.1509, 0.5948)  3 Fe 2.05-2.15
F (0.9916, 0.6925, 0.6460)  3 Fe 2.04-2.20

Properties
The value obtained for the energy of formation from the pure elements is -2.417 eV per atom. Its calculated density is 4.11 g/cm3. The value obtained for the distance to the lowest polymorph of the same formula is 0.02 eV per formula unit. The calculation puts the magnetic moment at 34.0 Bohr magnetons per cell.